Here is CaCu4O6 after structural relaxation from Materials Project. Energies are from GGA-PBE.

Values from the calculation:
**Energy of formation**: -29.596 kcal/mol of atoms

Cell lengths 3.1025, 9.8971, 14.7433 Å; angles 90.00, 90.00, 90.00 degrees
Space group Cmcm (No. 63)
One atom of each set of equivalent atoms:
Ca1 0.0000 0.1606 0.2500 x4
Cu1 0.0000 0.0900 0.6316 x8
Cu2 0.0000 0.3618 0.5408 x8
O1 0.0000 0.0000 0.0000 x4
O2 0.0000 0.1728 0.7500 x4
O3 0.0000 0.2819 0.0784 x8
O4 0.0000 0.4558 0.6509 x8


Here is RbMg14Sb after structural relaxation from Materials Project. Energies are from GGA-PBE.

Values from the calculation:
**Energy of formation**: 1.337 kcal/mol of atoms

Cell lengths 10.6166, 6.6229, 11.4351 Å; angles 90.00, 90.00, 90.00 degrees
Space group Amm2 (No. 38)
One atom of each set of equivalent atoms:
Rb1 0.0000 0.0000 0.0000 x2
Mg1 0.0000 0.2425 0.2518 x4
Mg2 0.2469 0.0000 0.6694 x4
Mg3 0.2654 0.2409 0.4148 x8
Mg4 0.2671 0.0000 0.1748 x4
Mg5 0.5000 0.0000 0.0009 x2
Mg6 0.5000 0.0000 0.5026 x2
Mg7 0.5000 0.2472 0.7502 x4
Sb1 0.0000 0.0000 0.4946 x2